1.
# Fe2CuAs2O14

A relaxed Fe2CuAs2O14 crystal (PBE+U, the Materials Project).

Cell and atoms, written as POSCAR:
```
Fe2CuAs2O14
1.0
10.0414 0.0000 0.0000
0.0000 9.4221 0.0000
-0.1013 0.0000 5.6292
Fe Cu As O
4 2 4 28
Direct
0.0498 0.1423 0.1528 Fe
0.0498 0.3577 0.6528 Fe
0.9502 0.6423 0.3472 Fe
0.9502 0.8577 0.8472 Fe
0.5000 0.0000 0.5000 Cu
0.5000 0.5000 0.0000 Cu
0.2021 0.0657 0.6367 As
0.2021 0.4343 0.1367 As
0.7979 0.5657 0.8633 As
0.7979 0.9343 0.3633 As
0.0224 0.7379 0.0720 O
0.0224 0.7621 0.5720 O
0.1076 0.0038 0.8728 O
0.1076 0.4962 0.3728 O
0.1440 0.0091 0.3634 O
0.1440 0.4909 0.8634 O
0.2185 0.2470 0.6559 O
0.2185 0.2530 0.1559 O
0.3564 0.5097 0.1915 O
0.3564 0.9903 0.6915 O
0.4233 0.6960 0.6726 O
0.4233 0.8040 0.1726 O
0.4778 0.2347 0.3830 O
0.4778 0.2653 0.8830 O
0.5222 0.7347 0.1170 O
0.5222 0.7653 0.6170 O
0.5767 0.1960 0.8274 O
0.5767 0.3040 0.3274 O
0.6436 0.0097 0.3085 O
0.6436 0.4903 0.8085 O
0.7815 0.7470 0.8441 O
0.7815 0.7530 0.3441 O
0.8560 0.5091 0.1366 O
0.8560 0.9909 0.6366 O
0.8924 0.5038 0.6272 O
0.8924 0.9962 0.1272 O
0.9776 0.2379 0.4280 O
0.9776 0.2621 0.9280 O
```

Magnetic moment (Bohr magnetons per cell): 21.99
Energy of formation (eV/atom): -0.750
VASP energy (eV per atom): -5.638
E (MP2020) (eV per cell): -227.775

2.
# FeCu2As3O11

A relaxed FeCu2As3O11 crystal (PBE+U, the Materials Project).

Cell and atoms, written as POSCAR:
```
FeCu2As3O11
1.0
9.6898 0.0000 0.0000
0.0000 13.1901 0.0000
0.0000 0.0000 8.0787
Fe Cu As O
4 8 12 44
Direct
0.0000 0.0000 0.0000 Fe
0.0000 0.5000 0.0000 Fe
0.5000 0.0000 0.5000 Fe
0.5000 0.5000 0.5000 Fe
0.2403 0.1343 0.2659 Cu
0.2403 0.3657 0.2659 Cu
0.2597 0.6343 0.7659 Cu
0.2597 0.8657 0.7659 Cu
0.7403 0.1343 0.2341 Cu
0.7403 0.3657 0.2341 Cu
0.7597 0.6343 0.7341 Cu
0.7597 0.8657 0.7341 Cu
0.0055 0.7500 0.9636 As
0.1949 0.0697 0.6844 As
0.1949 0.4303 0.6844 As
0.3051 0.5697 0.1844 As
0.3051 0.9303 0.1844 As
0.4945 0.2500 0.4636 As
0.5055 0.7500 0.5364 As
0.6949 0.0697 0.8156 As
0.6949 0.4303 0.8156 As
0.8051 0.5697 0.3156 As
0.8051 0.9303 0.3156 As
0.9945 0.2500 0.0364 As
0.0028 0.1435 0.9172 O
0.0028 0.3565 0.9172 O
0.0519 0.7500 0.4723 O
0.1112 0.5345 0.7949 O
0.1112 0.9655 0.7949 O
0.1124 0.1044 0.5070 O
0.1124 0.3956 0.5070 O
0.1269 0.2500 0.1805 O
0.1683 0.7500 0.8736 O
0.1761 0.0250 0.1285 O
0.1761 0.4750 0.1285 O
0.3239 0.5250 0.6285 O
0.3239 0.9750 0.6285 O
0.3317 0.2500 0.3736 O
0.3731 0.7500 0.6805 O
0.3876 0.6044 0.0070 O
0.3876 0.8956 0.0070 O
0.3888 0.0345 0.2949 O
0.3888 0.4655 0.2949 O
0.4481 0.2500 0.9723 O
0.4972 0.6435 0.4172 O
0.4972 0.8565 0.4172 O
0.5028 0.1435 0.5828 O
0.5028 0.3565 0.5828 O
0.5519 0.7500 0.0277 O
0.6112 0.5345 0.7051 O
0.6112 0.9655 0.7051 O
0.6124 0.1044 0.9930 O
0.6124 0.3956 0.9930 O
0.6269 0.2500 0.3195 O
0.6683 0.7500 0.6264 O
0.6761 0.0250 0.3715 O
0.6761 0.4750 0.3715 O
0.8239 0.5250 0.8715 O
0.8239 0.9750 0.8715 O
0.8317 0.2500 0.1264 O
0.8731 0.7500 0.8195 O
0.8876 0.6044 0.4930 O
0.8876 0.8956 0.4930 O
0.8888 0.0345 0.2051 O
0.8888 0.4655 0.2051 O
0.9481 0.2500 0.5277 O
0.9972 0.6435 0.0828 O
0.9972 0.8565 0.0828 O
```

Magnetic moment (Bohr magnetons per cell): 43.91
Energy of formation (eV/atom): -1.123
VASP energy (eV per atom): -5.550
E (MP2020) (eV per cell): -416.631

3.
# FeAs4F18

A relaxed FeAs4F18 crystal (PBE+U, the Materials Project).

Cell and atoms, written as POSCAR:
```
FeAs4F18
1.0
7.4977 0.0000 0.0000
0.0000 13.1739 0.0000
-7.2358 0.0000 7.5142
Fe As F
2 8 36
Direct
0.0000 0.0000 0.0000 Fe
0.0000 0.5000 0.5000 Fe
0.0841 0.2182 0.5162 As
0.0841 0.2818 0.0162 As
0.5000 0.0000 0.0000 As
0.5000 0.0000 0.5000 As
0.5000 0.5000 0.0000 As
0.5000 0.5000 0.5000 As
0.9159 0.7182 0.9838 As
0.9159 0.7818 0.4838 As
0.0124 0.7436 0.6845 F
0.0124 0.7564 0.1845 F
0.0155 0.1550 0.0525 F
0.0155 0.3450 0.5525 F
0.2135 0.0301 0.9430 F
0.2135 0.4699 0.4430 F
0.2327 0.0512 0.4402 F
0.2327 0.4488 0.9402 F
0.3215 0.5309 0.7678 F
0.3215 0.9691 0.2678 F
0.3240 0.5459 0.2833 F
0.3240 0.9541 0.7833 F
0.3961 0.2484 0.6500 F
0.3961 0.2516 0.1500 F
0.4303 0.6187 0.0299 F
0.4303 0.8813 0.5299 F
0.4949 0.1212 0.9288 F
0.4949 0.3788 0.4288 F
0.5051 0.6212 0.5712 F
0.5051 0.8788 0.0712 F
0.5697 0.1187 0.4701 F
0.5697 0.3813 0.9701 F
0.6039 0.7484 0.8500 F
0.6039 0.7516 0.3500 F
0.6760 0.0459 0.2167 F
0.6760 0.4541 0.7167 F
0.6785 0.0309 0.7322 F
0.6785 0.4691 0.2322 F
0.7673 0.5512 0.0598 F
0.7673 0.9488 0.5598 F
0.7865 0.5301 0.5570 F
0.7865 0.9699 0.0570 F
0.9845 0.6550 0.4475 F
0.9845 0.8450 0.9475 F
0.9876 0.2436 0.8155 F
0.9876 0.2564 0.3155 F
```

Magnetic moment (Bohr magnetons per cell): 8.00
Energy of formation (eV/atom): -2.471
VASP energy (eV per atom): -4.688
E (MP2020) (eV per cell): -236.802

4.
# Nd5Fe5As5O4F

A relaxed Nd5Fe5As5O4F crystal (PBE+U, the Materials Project).

Cell and atoms, written as POSCAR:
```
Nd5Fe5As5O4F
1.0
9.0762 0.0000 0.0000
-0.0206 9.0919 0.0000
-1.8195 -3.6359 9.1119
Nd Fe As O F
10 10 10 8 2
Direct
0.0126 0.3020 0.3612 Nd
0.1704 0.0966 0.6398 Nd
0.2224 0.6984 0.3692 Nd
0.3850 0.5153 0.6378 Nd
0.4314 0.0881 0.3628 Nd
0.5686 0.9119 0.6372 Nd
0.6150 0.4847 0.3622 Nd
0.7776 0.3016 0.6308 Nd
0.8296 0.9034 0.3602 Nd
0.9874 0.6980 0.6388 Nd
0.0519 0.3500 0.0021 Fe
0.1483 0.0508 0.9987 Fe
0.2515 0.7524 0.0023 Fe
0.3511 0.4485 0.0034 Fe
0.4456 0.1503 0.9990 Fe
0.5544 0.8497 0.0010 Fe
0.6489 0.5515 0.9966 Fe
0.7485 0.2476 0.9977 Fe
0.8517 0.9492 0.0013 Fe
0.9481 0.6500 0.9979 Fe
0.0888 0.9251 0.1838 As
0.1170 0.4773 0.8197 As
0.2861 0.3206 0.1868 As
0.3151 0.8756 0.8177 As
0.4882 0.7224 0.1831 As
0.5118 0.2776 0.8169 As
0.6849 0.1244 0.1823 As
0.7139 0.6794 0.8132 As
0.8830 0.5227 0.1803 As
0.9112 0.0749 0.8162 As
0.0445 0.8468 0.5021 O
0.1535 0.5456 0.5007 O
0.3460 0.9560 0.5018 O
0.4544 0.6540 0.4997 O
0.5456 0.3460 0.5003 O
0.6540 0.0440 0.4982 O
0.8465 0.4544 0.4993 O
0.9555 0.1532 0.4979 O
0.2499 0.2513 0.5018 F
0.7501 0.7487 0.4982 F
```

Magnetic moment (Bohr magnetons per cell): 38.00
Energy of formation (eV/atom): -1.669
VASP energy (eV per atom): -6.504
E (MP2020) (eV per cell): -289.144